1.
The following is a DFT calculation (r2SCAN) of a relaxed CoF2 crystal.

The calculation puts the formation energy at -2.23 eV per atom. The density comes out at 4667 kg/m3. The total DFT energy (no corrections) comes out at -8.726 eV per atom.

The space group is P4_2/mnm (No. 136) and the conventional cell measures 4.6435, 4.6435 and 3.1992 Å, with angles of 90.00, 90.00 and 90.00 degrees. The distinct sites, in fractional coordinates, are Co at (0.0000, 0.0000, 0.0000) and F at (0.1957, 0.1957, 0.5000).

=====

2.
The following is a DFT calculation (r2SCAN) of a relaxed GaPt3 crystal.

The calculation puts the formation energy at -0.49 eV per atom. The density comes out at 18119 kg/m3. The total DFT energy (no corrections) comes out at -41.966 eV per atom.

The space group is Fmmm (No. 69) and the conventional cell measures 7.7756, 7.7839 and 7.9340 Å, with angles of 90.00, 90.00 and 90.00 degrees. The distinct sites, in fractional coordinates, are Ga at (0.0000, 0.0000, 0.2498), Pt at (0.0000, 0.2069, 0.0000), Pt at (0.2067, 0.0000, 0.5000) and Pt at (0.2500, 0.2500, 0.2500).

=====

3.
The following is a DFT calculation (r2SCAN) of a relaxed Ac2CuSn crystal.

The calculation puts the formation energy at -0.37 eV per atom. The density comes out at 8372 kg/m3. The total DFT energy (no corrections) comes out at -43.592 eV per atom.

The space group is Fm-3m (No. 225) and the conventional cell measures 7.9624, 7.9624 and 7.9624 Å, with angles of 90.00, 90.00 and 90.00 degrees. The distinct sites, in fractional coordinates, are Ac at (0.2500, 0.2500, 0.2500), Cu at (0.0000, 0.0000, 0.0000) and Sn at (0.0000, 0.0000, 0.5000).

=====

4.
The following is a DFT calculation (r2SCAN) of a relaxed Sc2S3 crystal.

The calculation puts the formation energy at -2.17 eV per atom. The density comes out at 2884 kg/m3. The total DFT energy (no corrections) comes out at -11.551 eV per atom.

The space group is Fddd (No. 70, origin choice 2) and the conventional cell measures 7.4240, 10.4278 and 22.1466 Å, with angles of 90.00, 90.00 and 90.00 degrees. The distinct sites, in fractional coordinates, are Sc at (0.1250, 0.1250, 0.0414), Sc at (0.1250, 0.1250, 0.3772), S at (0.1153, 0.3750, 0.3750) and S at (0.1168, 0.3704, 0.2056).